First-principles (PBE) data for an optimized crystal structure of TmAu2F9, as listed in the Materials Project database.

Results
As for the uncorrected energy: -4.399 eV per atom. The crystal system is orthorhombic. As for the space group: Pbcn (60). The calculation puts the formation energy from the elements at -2.39 eV per atom.

Cell: 9.185 11.219 21.873 Å, 90.00 90.00 90.00°
Fractional coordinates of all 144 atoms:
1 Tm 0.823 0.500 0.250
2 Tm 0.677 0.000 0.750
3 Tm 0.177 0.500 0.750
4 Tm 0.323 0.000 0.250
5 Tm 0.039 0.593 0.416
6 Tm 0.039 0.407 0.084
7 Tm 0.461 0.093 0.584
8 Tm 0.461 0.907 0.916
9 Tm 0.961 0.407 0.584
10 Tm 0.961 0.593 0.916
11 Tm 0.539 0.907 0.416
12 Tm 0.539 0.093 0.084
13 Au 0.660 0.390 0.991
14 Au 0.660 0.610 0.509
15 Au 0.840 0.890 0.009
16 Au 0.840 0.110 0.491
17 Au 0.340 0.610 0.009
18 Au 0.340 0.390 0.491
19 Au 0.160 0.110 0.991
20 Au 0.160 0.890 0.509
21 Au 0.932 0.075 0.165
22 Au 0.932 0.925 0.335
23 Au 0.568 0.575 0.835
24 Au 0.568 0.425 0.665
25 Au 0.068 0.925 0.835
26 Au 0.068 0.075 0.665
27 Au 0.432 0.425 0.165
28 Au 0.432 0.575 0.335
29 Au 0.639 0.214 0.328
30 Au 0.639 0.786 0.172
31 Au 0.861 0.714 0.672
32 Au 0.861 0.286 0.828
33 Au 0.361 0.786 0.672
34 Au 0.361 0.214 0.828
35 Au 0.139 0.286 0.328
36 Au 0.139 0.714 0.172
37 F 0.000 0.500 0.000
38 F 0.000 0.500 0.500
39 F 0.500 0.000 0.000
40 F 0.500 0.000 0.500
41 F 0.135 0.977 0.321
42 F 0.135 0.023 0.179
43 F 0.365 0.477 0.679
44 F 0.365 0.523 0.821
45 F 0.865 0.023 0.679
46 F 0.865 0.977 0.821
47 F 0.635 0.523 0.321
48 F 0.635 0.477 0.179
49 F 0.201 0.822 0.238
50 F 0.201 0.178 0.262
51 F 0.299 0.322 0.762
52 F 0.299 0.678 0.738
53 F 0.799 0.178 0.762
54 F 0.799 0.822 0.738
55 F 0.701 0.678 0.238
56 F 0.701 0.322 0.262
57 F 0.766 0.048 0.035
58 F 0.766 0.952 0.465
59 F 0.734 0.548 0.965
60 F 0.734 0.452 0.535
61 F 0.234 0.952 0.965
62 F 0.234 0.048 0.535
63 F 0.266 0.452 0.035
64 F 0.266 0.548 0.465
65 F 0.588 0.104 0.396
66 F 0.588 0.896 0.104
67 F 0.912 0.604 0.604
68 F 0.912 0.396 0.896
69 F 0.412 0.896 0.604
70 F 0.412 0.104 0.896
71 F 0.088 0.396 0.396
72 F 0.088 0.604 0.104
73 F 0.496 0.140 0.271
74 F 0.496 0.860 0.229
75 F 0.004 0.640 0.729
76 F 0.004 0.360 0.771
77 F 0.504 0.860 0.729
78 F 0.504 0.140 0.771
79 F 0.996 0.360 0.271
80 F 0.996 0.640 0.229
81 F 0.191 0.638 0.944
82 F 0.191 0.362 0.556
83 F 0.309 0.138 0.056
84 F 0.309 0.862 0.444
85 F 0.809 0.362 0.056
86 F 0.809 0.638 0.444
87 F 0.691 0.862 0.944
88 F 0.691 0.138 0.556
89 F 0.415 0.051 0.164
90 F 0.415 0.949 0.336
91 F 0.085 0.551 0.836
92 F 0.085 0.449 0.664
93 F 0.585 0.949 0.836
94 F 0.585 0.051 0.664
95 F 0.915 0.449 0.164
96 F 0.915 0.551 0.336
97 F 0.280 0.788 0.118
98 F 0.280 0.212 0.382
99 F 0.220 0.288 0.882
100 F 0.220 0.712 0.618
101 F 0.720 0.212 0.882
102 F 0.720 0.788 0.618
103 F 0.780 0.712 0.118
104 F 0.780 0.288 0.382
105 F 0.997 0.915 0.067
106 F 0.997 0.085 0.433
107 F 0.503 0.415 0.933
108 F 0.503 0.585 0.567
109 F 0.003 0.085 0.933
110 F 0.003 0.915 0.567
111 F 0.497 0.585 0.067
112 F 0.497 0.415 0.433
113 F 0.869 0.924 0.200
114 F 0.869 0.076 0.300
115 F 0.631 0.424 0.800
116 F 0.631 0.576 0.700
117 F 0.131 0.076 0.800
118 F 0.131 0.924 0.700
119 F 0.369 0.576 0.200
120 F 0.369 0.424 0.300
121 F 0.003 0.225 0.127
122 F 0.003 0.775 0.373
123 F 0.497 0.725 0.873
124 F 0.497 0.275 0.627
125 F 0.997 0.775 0.873
126 F 0.997 0.225 0.627
127 F 0.503 0.275 0.127
128 F 0.503 0.725 0.373
129 F 0.726 0.122 0.151
130 F 0.726 0.878 0.349
131 F 0.774 0.622 0.849
132 F 0.774 0.378 0.651
133 F 0.274 0.878 0.849
134 F 0.274 0.122 0.651
135 F 0.226 0.378 0.151
136 F 0.226 0.622 0.349
137 F 0.921 0.733 0.988
138 F 0.921 0.267 0.512
139 F 0.579 0.233 0.012
140 F 0.579 0.767 0.488
141 F 0.079 0.267 0.012
142 F 0.079 0.733 0.488
143 F 0.421 0.767 0.988
144 F 0.421 0.233 0.512